DFT (PBE-GGA) results for BaNi2P4 after structural relaxation.

Properties
E_form: -0.655 eV per atom
VASP energy: -39.72 eV for the cell shown
SG: I4/mmm (139)

Cell: 5.476 5.476 5.476 Å, 106.18 106.18 116.28°
Fractional coordinates of all 7 atoms:
P 0.500 0.742 0.242
P 0.258 0.500 0.758
P 0.742 0.500 0.242
P 0.500 0.258 0.758
Ni 0.250 0.750 0.500
Ni 0.750 0.250 0.500
Ba 0.000 0.000 0.000

DFT (PBE-GGA) results for U2F9 after structural relaxation.

Properties
E_form: -3.901 eV per atom
VASP energy: -157.14 eV for the cell shown
SG: I-43m (217)

Cell: 7.388 7.388 7.388 Å, 109.47 109.47 109.47°
Fractional coordinates of all 22 atoms:
F 0.356 0.589 0.356
F 0.000 0.772 0.772
F 0.644 0.233 0.000
F 0.356 0.356 0.589
F 0.767 0.767 0.411
F 0.644 0.000 0.233
F 0.228 0.228 0.000
F 0.767 0.411 0.767
F 0.411 0.767 0.767
F 0.000 0.644 0.233
F 0.233 0.000 0.644
F 0.000 0.233 0.644
F 0.000 0.228 0.228
F 0.772 0.772 0.000
F 0.589 0.356 0.356
F 0.772 0.000 0.772
F 0.228 0.000 0.228
F 0.233 0.644 0.000
U 0.000 0.374 0.000
U 0.626 0.626 0.626
U 0.000 0.000 0.374
U 0.374 0.000 0.000

DFT (PBE-GGA) results for Na14Y4Zr4Si9S3O48 after structural relaxation.

Properties
E_form: -2.964 eV per atom
VASP energy: -1762.06 eV for the cell shown
SG: P1 (1)

Cell: 18.863 9.427 23.025 Å, 89.98 89.87 119.99°
Fractional coordinates of all 246 atoms:
O 0.751 0.355 0.416
O 0.255 0.869 0.081
O 0.255 0.371 0.416
O 0.763 0.675 0.977
O 0.767 0.890 0.358
O 0.264 0.646 0.861
O 0.088 0.190 0.420
O 0.074 0.672 0.466
O 0.571 0.458 0.248
O 0.582 0.676 0.082
O 0.016 0.195 0.202
O 0.553 0.646 0.361
O 0.618 0.196 0.812
O 0.257 0.654 0.579
O 0.162 0.846 0.972
O 0.432 0.554 0.026
O 0.082 0.494 0.582
O 0.946 0.541 0.141
O 0.515 0.837 0.704
O 0.263 0.852 0.476
O 0.906 0.969 0.421
O 0.832 0.156 0.421
O 0.403 0.003 0.091
O 0.089 0.182 0.698
O 0.904 0.791 0.308
O 0.153 0.827 0.255
O 0.163 0.476 0.474
O 0.072 0.684 0.749
O 0.519 0.217 0.917
O 0.902 0.817 0.192
O 0.340 0.163 0.748
O 0.019 0.819 0.415
O 0.671 0.858 0.861
O 0.172 0.483 0.359
O 0.667 0.457 0.353
O 0.002 0.805 0.701
O 0.824 0.108 0.133
O 0.841 0.120 0.028
O 0.750 0.647 0.580
O 0.841 0.520 0.247
O 0.332 0.512 0.921
O 0.850 0.576 0.516
O 0.406 0.775 0.309
O 0.171 0.842 0.577
O 0.423 0.317 0.242
O 0.341 0.563 0.528
O 0.936 0.349 0.925
O 0.065 0.655 0.360
O 0.073 0.469 0.969
O 0.246 0.163 0.238
O 0.513 0.817 0.417
O 0.662 0.852 0.976
O 0.593 0.207 0.697
O 0.217 0.143 0.527
O 0.589 0.990 0.195
O 0.742 0.124 0.637
O 0.715 0.286 0.027
O 0.500 0.196 0.199
O 0.491 0.818 0.090
O 0.675 0.847 0.578
O 0.905 0.000 0.086
O 0.995 0.172 0.591
O 0.344 0.514 0.243
O 0.121 0.050 0.310
O 0.655 0.481 0.756
O 0.822 0.498 0.629
O 0.589 0.008 0.592
O 0.321 0.143 0.417
O 0.754 0.653 0.863
O 0.562 0.473 0.862
O 0.254 0.856 0.362
O 0.755 0.140 0.917
O 0.609 0.024 0.310
O 0.435 0.520 0.424
O 0.762 0.852 0.473
O 0.903 0.998 0.697
O 0.938 0.354 0.642
O 0.583 0.168 0.091
O 0.903 0.834 0.916
O 0.924 0.528 0.744
O 0.583 0.183 0.420
O 0.406 0.846 0.922
O 0.326 0.130 0.131
O 0.170 0.875 0.856
O 0.016 0.211 0.919
O 0.439 0.354 0.921
O 0.345 0.121 0.027
O 0.988 0.204 0.315
O 0.744 0.321 0.741
O 0.581 0.482 0.575
O 0.736 0.364 0.140
O 0.760 0.689 0.247
O 0.178 0.509 0.080
O 0.437 0.519 0.141
O 0.259 0.832 0.747
O 0.941 0.519 0.417
O 0.644 0.815 0.248
O 0.662 0.477 0.469
O 0.083 0.981 0.920
O 0.403 0.988 0.694
O 0.743 0.148 0.244
O 0.445 0.349 0.641
O 0.399 0.812 0.193
O 0.264 0.675 0.977
O 0.587 0.986 0.919
O 0.245 0.360 0.136
O 0.428 0.297 0.525
O 0.988 0.765 0.806
O 0.402 0.971 0.416
O 0.219 0.299 0.025
O 0.240 0.107 0.640
O 0.821 0.501 0.918
O 0.242 0.335 0.744
O 0.405 0.810 0.587
O 0.494 0.157 0.587
O 0.144 0.471 0.748
O 0.084 0.486 0.254
O 0.919 0.317 0.244
O 0.717 0.141 0.524
O 0.573 0.473 0.968
O 0.759 0.855 0.753
O 0.093 0.979 0.195
O 0.903 0.037 0.813
O 0.083 0.680 0.078
O 0.996 0.832 0.086
O 0.757 0.859 0.079
O 0.931 0.558 0.024
O 0.112 0.200 0.813
O 0.486 0.767 0.817
O 0.323 0.539 0.634
O 0.910 0.824 0.592
O 0.258 0.665 0.252
O 0.933 0.311 0.526
O 0.253 0.143 0.919
O 0.844 0.180 0.745
O 0.419 0.522 0.745
O 0.087 0.006 0.593
O 0.090 0.172 0.092
O 0.055 0.464 0.864
O 0.486 0.206 0.304
O 0.583 0.680 0.755
O 0.573 0.676 0.466
O 0.400 0.014 0.811
O 0.671 0.500 0.077
Na 0.161 0.668 0.666
Na 0.329 0.337 0.823
Na 0.146 0.978 0.079
Na 0.997 0.629 0.244
Na 0.655 0.328 0.582
Na 0.499 0.651 0.247
Na 0.168 0.053 0.414
Na 0.824 0.015 0.259
Na 0.176 0.296 0.907
Na 0.334 0.679 0.081
Na 0.484 0.283 0.434
Na 0.817 0.327 0.827
Na 0.671 0.287 0.908
Na 0.192 0.018 0.748
Na 0.827 0.318 0.331
Na 0.694 0.369 0.255
Na 0.340 0.016 0.902
Na 0.837 0.677 0.090
Na 0.151 0.643 0.168
Na 0.144 0.313 0.580
Na 0.336 0.998 0.590
Na 0.978 0.681 0.929
Na 0.834 0.975 0.583
Na 0.506 0.998 0.997
Na 0.679 0.002 0.747
Na 0.996 0.992 0.503
Na 0.171 0.347 0.256
Na 0.841 0.664 0.421
Na 0.510 0.019 0.505
Na 0.660 0.661 0.663
Na 0.005 0.995 0.003
Na 0.500 0.368 0.739
Na 0.480 0.679 0.915
Na 0.342 0.668 0.410
Na 0.978 0.277 0.422
Na 0.322 0.631 0.754
Na 0.648 0.977 0.077
Na 0.316 0.299 0.335
Na 0.678 0.056 0.417
Na 0.839 0.014 0.904
Na 0.663 0.656 0.168
Na 0.997 0.345 0.736
Zr 0.331 0.344 0.183
Zr 0.165 0.665 0.519
Zr 0.006 0.005 0.154
Zr 0.507 0.009 0.655
Zr 0.502 0.992 0.149
Zr 0.166 0.668 0.019
Zr 0.176 0.672 0.309
Zr 0.672 0.664 0.522
Zr 0.665 0.665 0.020
Zr 0.997 0.003 0.648
Zr 0.829 0.327 0.678
Zr 0.677 0.682 0.808
S 0.523 0.379 0.916
S 0.495 0.293 0.248
S 0.020 0.373 0.918
S 0.334 0.034 0.083
S 0.024 0.666 0.414
S 0.334 0.641 0.582
S 0.834 0.026 0.082
S 0.996 0.696 0.750
S 0.519 0.665 0.417
Si 0.318 0.672 0.919
Si 0.486 0.635 0.084
Si 0.818 0.970 0.418
Si 0.178 0.023 0.584
Si 0.812 0.666 0.918
Si 0.001 0.302 0.254
Si 0.351 0.999 0.750
Si 0.667 0.367 0.414
Si 0.668 0.961 0.917
Si 0.654 0.306 0.753
Si 0.986 0.339 0.584
Si 0.851 0.704 0.249
Si 0.679 0.025 0.582
Si 0.352 0.700 0.250
Si 0.168 0.375 0.417
Si 0.148 0.300 0.751
Si 0.649 0.995 0.251
Si 0.180 0.335 0.082
Si 0.154 0.002 0.251
Si 0.988 0.647 0.082
Si 0.167 0.965 0.916
Si 0.853 0.016 0.752
Si 0.836 0.637 0.579
Si 0.501 0.699 0.755
Si 0.487 0.326 0.582
Si 0.312 0.959 0.418
Si 0.676 0.331 0.084
Y 0.501 0.994 0.849
Y 0.336 0.329 0.681
Y 0.328 0.319 0.485
Y 0.832 0.334 0.487
Y 0.674 0.676 0.316
Y 0.000 0.998 0.849
Y 0.501 0.003 0.351
Y 0.001 0.008 0.350
Y 0.331 0.339 0.984
Y 0.836 0.344 0.182
Y 0.173 0.671 0.814
Y 0.827 0.337 0.985

DFT (PBE-GGA) results for Er2O3 after structural relaxation.

Properties
E_form: -4.057 eV per atom
VASP energy: -337.63 eV for the cell shown
SG: Ia-3 (206)

Cell: 9.137 9.137 9.137 Å, 109.47 109.47 109.47°
Fractional coordinates of all 40 atoms:
O 0.729 0.968 0.957
O 0.968 0.957 0.729
O 0.511 0.772 0.543
O 0.261 0.989 0.532
O 0.043 0.271 0.032
O 0.239 0.771 0.728
O 0.011 0.468 0.739
O 0.543 0.511 0.772
O 0.457 0.489 0.228
O 0.468 0.739 0.011
O 0.761 0.229 0.272
O 0.989 0.532 0.261
O 0.772 0.543 0.511
O 0.771 0.728 0.239
O 0.032 0.043 0.271
O 0.728 0.239 0.771
O 0.489 0.228 0.457
O 0.532 0.261 0.989
O 0.739 0.011 0.468
O 0.228 0.457 0.489
O 0.271 0.032 0.043
O 0.957 0.729 0.968
O 0.272 0.761 0.229
O 0.229 0.272 0.761
Er 0.750 0.967 0.217
Er 0.283 0.250 0.533
Er 0.500 0.500 0.000
Er 0.500 0.000 0.500
Er 0.000 0.000 0.000
Er 0.533 0.283 0.250
Er 0.717 0.750 0.467
Er 0.217 0.750 0.967
Er 0.250 0.033 0.783
Er 0.783 0.250 0.033
Er 0.000 0.500 0.500
Er 0.467 0.717 0.750
Er 0.250 0.533 0.283
Er 0.750 0.467 0.717
Er 0.033 0.783 0.250
Er 0.967 0.217 0.750

DFT (PBE-GGA) results for Cs3B6H12Se4Br after structural relaxation.

Properties
E_form: -0.450 eV per atom
VASP energy: -220.51 eV for the cell shown
SG: P6_3mc (186)

Cell: 11.015 11.015 9.040 Å, 90.00 90.00 120.00°
Fractional coordinates of all 52 atoms:
Br 0.000 0.000 0.996
Br 0.000 0.000 0.496
Cs 0.693 0.847 0.750
Cs 0.153 0.847 0.750
Cs 0.847 0.693 0.250
Cs 0.153 0.307 0.750
Cs 0.307 0.153 0.250
Cs 0.847 0.153 0.250
H 0.422 0.578 0.951
H 0.590 0.888 0.430
H 0.013 0.507 0.121
H 0.112 0.703 0.430
H 0.507 0.013 0.621
H 0.590 0.703 0.430
H 0.493 0.507 0.121
H 0.297 0.410 0.430
H 0.410 0.297 0.930
H 0.507 0.493 0.621
H 0.297 0.888 0.430
H 0.703 0.112 0.930
H 0.578 0.422 0.451
H 0.422 0.845 0.951
H 0.703 0.590 0.930
H 0.410 0.112 0.930
H 0.888 0.297 0.930
H 0.888 0.590 0.930
H 0.493 0.987 0.121
H 0.578 0.155 0.451
H 0.845 0.422 0.451
H 0.987 0.493 0.621
H 0.155 0.578 0.951
H 0.112 0.410 0.430
B 0.432 0.865 0.083
B 0.767 0.233 0.889
B 0.534 0.767 0.389
B 0.432 0.568 0.083
B 0.135 0.568 0.083
B 0.865 0.432 0.583
B 0.233 0.767 0.389
B 0.466 0.233 0.889
B 0.767 0.534 0.889
B 0.568 0.432 0.583
B 0.568 0.135 0.583
B 0.233 0.466 0.389
Se 0.456 0.228 0.660
Se 0.333 0.667 0.478
Se 0.772 0.228 0.660
Se 0.772 0.544 0.660
Se 0.228 0.772 0.160
Se 0.228 0.456 0.160
Se 0.667 0.333 0.978
Se 0.544 0.772 0.160

DFT (PBE-GGA) results for Nb3AgO8 after structural relaxation.

Properties
E_form: -2.659 eV per atom
VASP energy: -198.26 eV for the cell shown
SG: Ibam (72)

Cell: 7.380 7.380 7.380 Å, 122.10 118.38 89.61°
Fractional coordinates of all 24 atoms:
Nb 0.009 0.767 0.242
Nb 0.991 0.233 0.758
Nb 0.500 0.750 0.250
Nb 0.500 0.250 0.750
Nb 0.475 0.733 0.742
Nb 0.525 0.267 0.258
O 0.533 0.425 0.108
O 0.450 0.942 0.108
O 0.834 0.442 0.992
O 0.179 0.666 0.513
O 0.153 0.166 0.987
O 0.550 0.058 0.892
O 0.166 0.158 0.608
O 0.467 0.575 0.892
O 0.450 0.342 0.508
O 0.683 0.075 0.608
O 0.317 0.925 0.392
O 0.834 0.842 0.392
O 0.821 0.334 0.487
O 0.166 0.558 0.008
O 0.550 0.658 0.492
O 0.847 0.834 0.013
Ag 0.000 0.250 0.250
Ag 0.000 0.750 0.750

DFT (PBE-GGA) results for GaRh3 after structural relaxation.

Properties
E_form: -0.320 eV per atom
VASP energy: -26.40 eV for the cell shown
SG: I4/mmm (139)

Cell: 4.671 4.671 4.671 Å, 130.74 130.74 72.23°
Fractional coordinates of all 4 atoms:
Rh 0.750 0.250 0.500
Rh 0.500 0.500 0.000
Rh 0.250 0.750 0.500
Ga 0.000 0.000 0.000

What is the VASP energy in the fifth record?
-220.51 eV for the cell shown